[1]
# GGA-PBE HfMo2, optimized geometry
# * E_form: -17 kJ per mole of atoms
# * excess energy over the best structure of this formula in the dataset: 0.000 eV per atom
data_HfMo2
_cell_length_a 5.363
_cell_length_b 5.363
_cell_length_c 5.363
_cell_angle_alpha 60.00
_cell_angle_beta 60.00
_cell_angle_gamma 60.00
_symmetry_space_group_name_H-M 'P 1'
_symmetry_Int_Tables_number 1
loop_
_symmetry_equiv_pos_as_xyz
'x,y,z'
loop_
_atom_site_label
_atom_site_type_symbol
_atom_site_fract_x
_atom_site_fract_y
_atom_site_fract_z
_atom_site_occupancy
Hf1 Hf 0.250 0.250 0.250 1
Hf2 Hf 0.500 0.500 0.500 1
Mo1 Mo 0.875 0.875 0.375 1
Mo2 Mo 0.875 0.875 0.875 1
Mo3 Mo 0.375 0.875 0.875 1
Mo4 Mo 0.875 0.375 0.875 1

[2]
# GGA-PBE Ba11Bi10, optimized geometry
# * E_form: -86 kJ per mole of atoms
data_Ba11Bi10
_cell_length_a 13.738
_cell_length_b 13.738
_cell_length_c 13.738
_cell_angle_alpha 121.25
_cell_angle_beta 121.25
_cell_angle_gamma 87.85
_symmetry_space_group_name_H-M 'P 1'
_symmetry_Int_Tables_number 1
loop_
_symmetry_equiv_pos_as_xyz
'x,y,z'
loop_
_atom_site_label
_atom_site_type_symbol
_atom_site_fract_x
_atom_site_fract_y
_atom_site_fract_z
_atom_site_occupancy
Bi1 Bi 0.469 0.469 0.579 1
Bi2 Bi 0.889 0.469 0.000 1
Bi3 Bi 0.250 0.750 0.500 1
Ba1 Ba 0.168 0.168 0.336 1
Bi4 Bi 0.881 0.881 0.000 1
Bi5 Bi 0.380 0.380 0.760 1
Bi6 Bi 0.531 0.531 0.421 1
Bi7 Bi 0.119 0.119 0.000 1
Ba2 Ba 0.191 0.441 0.250 1
Ba3 Ba 0.396 0.728 0.332 1
Bi8 Bi 0.357 0.000 0.357 1
Ba4 Ba 0.941 0.191 0.750 1
Bi9 Bi 0.380 0.620 0.000 1
Ba5 Ba 0.654 0.654 0.000 1
Bi10 Bi 0.000 0.643 0.643 1
Ba6 Ba 0.059 0.809 0.250 1
Bi11 Bi 0.620 0.380 0.000 1
Ba7 Ba 0.809 0.059 0.250 1
Bi12 Bi 0.111 0.531 0.000 1
Ba8 Ba 0.604 0.272 0.668 1
Bi13 Bi 0.643 0.000 0.643 1
Ba9 Ba 0.559 0.809 0.750 1
Ba10 Ba 0.604 0.937 0.332 1
Ba11 Ba 0.063 0.396 0.668 1
Ba12 Ba 0.832 0.832 0.664 1
Ba13 Ba 0.346 0.346 0.000 1
Ba14 Ba 0.441 0.191 0.250 1
Bi14 Bi 0.531 0.111 0.000 1
Ba15 Ba 0.168 0.832 0.000 1
Ba16 Ba 0.832 0.168 0.000 1
Bi15 Bi 0.620 0.620 0.240 1
Ba17 Ba 0.272 0.604 0.668 1
Ba18 Ba 0.728 0.396 0.332 1
Ba19 Ba 0.809 0.559 0.750 1
Bi16 Bi 0.750 0.250 0.500 1
Bi17 Bi 0.469 0.889 0.000 1
Ba20 Ba 0.937 0.604 0.332 1
Ba21 Ba 0.396 0.063 0.668 1
Bi18 Bi 0.889 0.889 0.421 1
Bi19 Bi 0.000 0.357 0.357 1
Bi20 Bi 0.111 0.111 0.579 1
Ba22 Ba 0.191 0.941 0.750 1

[3]
# GGA-PBE Zn2SiH2O5, optimized geometry
# * E_form: -200 kJ per mole of atoms
# * total magnetic moment: 0.00 μB/cell
# * excess energy over the best structure of this formula in the dataset: 0.006 eV per atom
data_Zn2SiH2O5
_cell_length_a 5.199
_cell_length_b 8.383
_cell_length_c 10.732
_cell_angle_alpha 90.00
_cell_angle_beta 90.00
_cell_angle_gamma 90.00
_symmetry_space_group_name_H-M 'P 1'
_symmetry_Int_Tables_number 1
loop_
_symmetry_equiv_pos_as_xyz
'x,y,z'
loop_
_atom_site_label
_atom_site_type_symbol
_atom_site_fract_x
_atom_site_fract_y
_atom_site_fract_z
_atom_site_occupancy
H1 H 0.581 0.454 0.062 1
Zn1 Zn 0.991 0.169 0.827 1
O1 O 0.192 0.967 0.833 1
Zn2 Zn 0.491 0.331 0.327 1
O2 O 0.630 0.796 0.815 1
O3 O 0.130 0.704 0.315 1
H2 H 0.169 0.627 0.037 1
H3 H 0.581 0.546 0.938 1
Zn3 Zn 0.999 0.239 0.147 1
Si1 Si 0.005 0.469 0.646 1
H4 H 0.081 0.954 0.438 1
H5 H 0.669 0.873 0.537 1
O4 O 0.018 0.695 0.027 1
O5 O 0.692 0.467 0.667 1
O6 O 0.137 0.386 0.273 1
H6 H 0.669 0.127 0.463 1
Si2 Si 0.505 0.031 0.146 1
O7 O 0.018 0.305 0.973 1
O8 O 0.465 0.500 0.000 1
O9 O 0.587 0.000 0.000 1
O10 O 0.637 0.886 0.227 1
H7 H 0.081 0.046 0.562 1
O11 O 0.192 0.033 0.167 1
H8 H 0.169 0.373 0.963 1
O12 O 0.637 0.114 0.773 1
O13 O 0.137 0.614 0.727 1
Si3 Si 0.505 0.969 0.854 1
Zn4 Zn 0.491 0.669 0.673 1
O14 O 0.518 0.805 0.527 1
O15 O 0.692 0.533 0.333 1
O16 O 0.130 0.296 0.685 1
Zn5 Zn 0.991 0.831 0.173 1
O17 O 0.630 0.204 0.185 1
Zn6 Zn 0.999 0.761 0.853 1
O18 O 0.965 0.000 0.500 1
Zn7 Zn 0.499 0.261 0.647 1
Zn8 Zn 0.499 0.739 0.353 1
O19 O 0.087 0.500 0.500 1
Si4 Si 0.005 0.531 0.354 1
O20 O 0.518 0.195 0.473 1

[4]
# GGA-PBE Tb5CuPb3, optimized geometry
# * E_form: -48 kJ per mole of atoms
data_Tb5CuPb3
_cell_length_a 9.232
_cell_length_b 9.232
_cell_length_c 6.684
_cell_angle_alpha 90.00
_cell_angle_beta 90.00
_cell_angle_gamma 120.00
_symmetry_space_group_name_H-M 'P 1'
_symmetry_Int_Tables_number 1
loop_
_symmetry_equiv_pos_as_xyz
'x,y,z'
loop_
_atom_site_label
_atom_site_type_symbol
_atom_site_fract_x
_atom_site_fract_y
_atom_site_fract_z
_atom_site_occupancy
Tb1 Tb 0.254 0.000 0.250 1
Pb1 Pb 0.391 0.000 0.750 1
Tb2 Tb 0.667 0.333 0.000 1
Tb3 Tb 0.746 0.000 0.750 1
Tb4 Tb 0.000 0.254 0.250 1
Tb5 Tb 0.333 0.667 0.000 1
Pb2 Pb 0.609 0.609 0.750 1
Tb6 Tb 0.667 0.333 0.500 1
Tb7 Tb 0.333 0.667 0.500 1
Tb8 Tb 0.000 0.746 0.750 1
Cu1 Cu 0.000 0.000 0.000 1
Tb9 Tb 0.746 0.746 0.250 1
Cu2 Cu 0.000 0.000 0.500 1
Pb3 Pb 0.609 0.000 0.250 1
Tb10 Tb 0.254 0.254 0.750 1
Pb4 Pb 0.000 0.609 0.250 1
Pb5 Pb 0.000 0.391 0.750 1
Pb6 Pb 0.391 0.391 0.250 1

[5]
# GGA-PBE K3Sr, optimized geometry
# * E_form: 11 kJ per mole of atoms
# * total magnetic moment: 0.00 μB/cell
# * excess energy over the best structure of this formula in the dataset: 0.000 eV per atom
data_K3Sr
_cell_length_a 7.306
_cell_length_b 7.306
_cell_length_c 7.306
_cell_angle_alpha 60.00
_cell_angle_beta 60.00
_cell_angle_gamma 60.00
_symmetry_space_group_name_H-M 'P 1'
_symmetry_Int_Tables_number 1
loop_
_symmetry_equiv_pos_as_xyz
'x,y,z'
loop_
_atom_site_label
_atom_site_type_symbol
_atom_site_fract_x
_atom_site_fract_y
_atom_site_fract_z
_atom_site_occupancy
K1 K 0.250 0.250 0.250 1
Sr1 Sr 0.000 0.000 0.000 1
K2 K 0.500 0.500 0.500 1
K3 K 0.750 0.750 0.750 1

[6]
# GGA-PBE MgTa2Te4Br10O, optimized geometry
# * E_form: -87 kJ per mole of atoms
# * total magnetic moment: 0.03 μB/cell
# * excess energy over the best structure of this formula in the dataset: 0.030 eV per atom
data_MgTa2Te4Br10O
_cell_length_a 7.430
_cell_length_b 9.098
_cell_length_c 10.018
_cell_angle_alpha 87.06
_cell_angle_beta 92.89
_cell_angle_gamma 74.53
_symmetry_space_group_name_H-M 'P 1'
_symmetry_Int_Tables_number 1
loop_
_symmetry_equiv_pos_as_xyz
'x,y,z'
loop_
_atom_site_label
_atom_site_type_symbol
_atom_site_fract_x
_atom_site_fract_y
_atom_site_fract_z
_atom_site_occupancy
Br1 Br 0.136 0.512 0.287 1
Te1 Te 0.077 0.206 0.977 1
Br2 Br 0.676 0.770 0.493 1
Br3 Br 0.824 0.197 0.415 1
Te2 Te 0.903 0.834 0.023 1
Ta1 Ta 0.487 0.378 0.362 1
Br4 Br 0.531 0.822 0.830 1
Mg1 Mg 0.119 0.220 0.284 1
Ta2 Ta 0.510 0.636 0.649 1
Br5 Br 0.839 0.456 0.727 1
Te3 Te 0.784 0.106 0.863 1
Br6 Br 0.373 0.481 0.808 1
Br7 Br 0.458 0.183 0.167 1
O1 O 0.497 0.492 0.506 1
Br8 Br 0.347 0.187 0.504 1
Br9 Br 0.196 0.799 0.564 1
Te4 Te 0.203 0.928 0.139 1
Br10 Br 0.598 0.537 0.195 1

[7]
# GGA-PBE Cs2LiErCl6, optimized geometry
# * E_form: -240 kJ per mole of atoms
# * total magnetic moment: 0.00 μB/cell
data_Cs2LiErCl6
_cell_length_a 7.487
_cell_length_b 7.487
_cell_length_c 7.487
_cell_angle_alpha 60.00
_cell_angle_beta 60.00
_cell_angle_gamma 60.00
_symmetry_space_group_name_H-M 'P 1'
_symmetry_Int_Tables_number 1
loop_
_symmetry_equiv_pos_as_xyz
'x,y,z'
loop_
_atom_site_label
_atom_site_type_symbol
_atom_site_fract_x
_atom_site_fract_y
_atom_site_fract_z
_atom_site_occupancy
Cl1 Cl 0.248 0.248 0.752 1
Er1 Er 0.000 0.000 0.000 1
Cs1 Cs 0.250 0.250 0.250 1
Cl2 Cl 0.248 0.752 0.248 1
Cl3 Cl 0.752 0.248 0.752 1
Cl4 Cl 0.248 0.752 0.752 1
Cl5 Cl 0.752 0.248 0.248 1
Cs2 Cs 0.750 0.750 0.750 1
Cl6 Cl 0.752 0.752 0.248 1
Li1 Li 0.500 0.500 0.500 1

[8]
# GGA-PBE Ti3Cu2NiS8, optimized geometry
# * E_form: -117 kJ per mole of atoms
# * total magnetic moment: 1.90 μB/cell
data_Ti3Cu2NiS8
_cell_length_a 7.107
_cell_length_b 7.107
_cell_length_c 7.107
_cell_angle_alpha 58.94
_cell_angle_beta 58.94
_cell_angle_gamma 58.94
_symmetry_space_group_name_H-M 'P 1'
_symmetry_Int_Tables_number 1
loop_
_symmetry_equiv_pos_as_xyz
'x,y,z'
loop_
_atom_site_label
_atom_site_type_symbol
_atom_site_fract_x
_atom_site_fract_y
_atom_site_fract_z
_atom_site_occupancy
Ni1 Ni 0.500 0.500 0.500 1
Ti1 Ti 0.000 0.500 0.500 1
S1 S 0.271 0.740 0.740 1
S2 S 0.260 0.260 0.729 1
Ti2 Ti 0.500 0.500 0.000 1
Ti3 Ti 0.500 0.000 0.500 1
S3 S 0.740 0.740 0.271 1
S4 S 0.740 0.271 0.740 1
Cu1 Cu 0.876 0.876 0.876 1
S5 S 0.746 0.746 0.746 1
Cu2 Cu 0.124 0.124 0.124 1
S6 S 0.254 0.254 0.254 1
S7 S 0.260 0.729 0.260 1
S8 S 0.729 0.260 0.260 1

The calculation returns the following final energy values, one per record and in order: -0.788, -0.275, -0.417, -0.350, -0.084, -0.305, -0.298, -0.439 Ry per atom.